[1]
Here is a relaxed LuO3 crystal from the Materials Project. Energies are from GGA-PBE.

Cell lengths 7.4533, 7.4533, 7.4533 Å; angles 90.00, 90.00, 90.00 degrees
Closest atoms and distances in Å follow each position.
Space group Im-3 (No. 204)
One atom of each set of equivalent atoms:
Lu 0.2500 0.2500 0.2500 (multiplicity 8)  6 O 2.23
O 0.0000 0.3169 0.0992 (multiplicity 24)  1 O 1.48

The value obtained for the energy above the most stable polymorph in this dataset is 79 meV/atom. The calculation puts the magnetization at 0.0 μB/cell. For the energy of formation from the pure elements, the calculation gives -1933.0 meV per atom. The total energy after the MP2020 corrections is -27.1 eV per formula unit.


[2]
Here is a relaxed Sr11InSb9 crystal from the Materials Project. Energies are from GGA-PBE.

Cell lengths 12.5440, 13.2608, 17.7134 Å; angles 90.00, 90.00, 90.00 degrees
Closest atoms and distances in Å follow each position.
Space group Iba2 (No. 45)
One atom of each set of equivalent atoms:
Sr 0.0000 0.0000 0.0000 (multiplicity 4)  4 Sb 3.24-3.50
Sr 0.0732 0.2780 0.0211 (multiplicity 8)  6 Sb 3.22-3.54
Sr 0.0897 0.2732 0.3369 (multiplicity 8)  6 Sb 3.27-3.59
Sr 0.1595 0.1735 0.6787 (multiplicity 8)  2 Sb 3.25-3.39, 1 In 3.59
Sr 0.1836 0.4461 0.5503 (multiplicity 8)  2 Sb 3.25-3.34
Sr 0.1859 0.4415 0.8092 (multiplicity 8)  4 Sb 3.23-3.61
In 0.0000 0.0000 0.2859 (multiplicity 4)  4 Sb 2.98-2.99
Sb 0.0000 0.5000 0.4276 (multiplicity 4)  8 Sr 3.23-3.59
Sb 0.0337 0.3954 0.1817 (multiplicity 8)  1 Sb 2.90
Sb 0.1290 0.1169 0.1754 (multiplicity 8)  1 In 2.98
Sb 0.1472 0.1392 0.8680 (multiplicity 8)  1 In 2.99
Sb 0.1770 0.1781 0.4958 (multiplicity 8)  5 Sr 3.22-3.44

For the energy of formation from the pure elements, the calculation gives -1086.5 meV per atom. The total energy after the MP2020 corrections is -81.3 eV per formula unit.


[3]
Here is a relaxed InGaP2 crystal from the Materials Project. Energies are from GGA-PBE.

Cell lengths 4.0547, 4.0547, 19.9030 Å; angles 90.00, 90.00, 120.00 degrees
Closest atoms and distances in Å follow each position.
Space group R3m (No. 160, hexagonal axes)
One atom of each set of equivalent atoms:
In 0.0000 0.0000 0.0000 (multiplicity 3)  4 P 2.52-2.58
Ga 0.0000 0.0000 0.5000 (multiplicity 3)  4 P 2.38-2.45
P 0.0000 0.0000 0.1297 (multiplicity 3)  3 Ga 2.45, 1 In 2.58
P 0.0000 0.0000 0.6193 (multiplicity 3)  1 Ga 2.38, 3 In 2.52

The calculation puts the magnetization at 0.0 μB/cell. For the energy of formation from the pure elements, the calculation gives -268.8 meV per atom.


[4]
Here is a relaxed Na2BeH4 crystal from the Materials Project. Energies are from GGA-PBE.

Cell lengths 5.0787, 4.9931, 6.8535 Å; angles 90.00, 98.52, 90.00 degrees
Closest atoms and distances in Å follow each position.
Space group P2_1/m (No. 11)
One atom of each set of equivalent atoms:
Na 0.2305 0.2500 0.0251 (multiplicity 2)  6 H 2.32-2.55
Na 0.2351 0.2500 0.5247 (multiplicity 2)  5 H 2.24-2.42
Be 0.2227 0.7500 0.7781 (multiplicity 2)  4 H 1.44
H 0.0535 0.5208 0.7343 (multiplicity 4)  1 Be 1.44
H 0.3145 0.7500 0.9867 (multiplicity 2)  1 Be 1.44
H 0.4383 0.7500 0.6624 (multiplicity 2)  1 Be 1.44

For the energy of formation from the pure elements, the calculation gives -326.6 meV per atom. The total energy after the MP2020 corrections is -22.2 eV per formula unit.